{
  "formula": "K3InI6O18",
  "functional": "r2SCAN",
  "state": "relaxed",
  "lattice_angstrom": [[6.899, 0.000, 0.000], [-1.532, 6.865, 0.000], [-3.392, -2.295, 9.785]],
  "species": ["K", "K", "K", "In", "I", "I", "I", "I", "I", "I", "O", "O", "O", "O", "O", "O", "O", "O", "O", "O", "O", "O", "O", "O", "O", "O", "O", "O"],
  "fractional_positions": [[0.000, 0.000, 0.000], [0.372, 0.036, 0.793], [0.628, 0.964, 0.207], [0.000, 0.500, 0.500], [0.138, 0.556, 0.880], [0.218, 0.970, 0.399], [0.437, 0.466, 0.306], [0.563, 0.534, 0.694], [0.782, 0.030, 0.601], [0.862, 0.444, 0.120], [0.006, 0.856, 0.236], [0.053, 0.614, 0.710], [0.113, 0.424, 0.099], [0.117, 0.821, 0.506], [0.297, 0.805, 0.971], [0.314, 0.463, 0.541], [0.387, 0.197, 0.264], [0.415, 0.849, 0.377], [0.441, 0.464, 0.814], [0.559, 0.536, 0.186], [0.585, 0.151, 0.623], [0.613, 0.803, 0.736], [0.686, 0.537, 0.459], [0.703, 0.195, 0.029], [0.883, 0.179, 0.494], [0.887, 0.576, 0.901], [0.947, 0.386, 0.290], [0.994, 0.144, 0.764]],
  "delta_e_f_ev_per_atom": -0.8822,
  "final_energy_ev_per_fu": -320.19,
  "m_tot_mub_per_fu": 0.000
}